Entry 1:
DFT (PBE-GGA) results for a relaxed Al12Re crystal.

Output
Calculated formation energy (eV per atom): -0.143
Calculated volume (Å³/f.u.): 214
Symmetry: Im-3, No. 204

POSCAR file:
```
Al12Re
1.0
-3.7684 3.7684 3.7684
3.7684 -3.7684 3.7684
3.7684 3.7684 -3.7684
Al Re
12 1
direct
0.6917 0.8797 0.1880
0.8120 0.3083 0.1203
0.5038 0.8120 0.6917
0.8120 0.6917 0.5038
0.4962 0.1880 0.3083
0.1880 0.6917 0.8797
0.8797 0.1880 0.6917
0.1203 0.8120 0.3083
0.1880 0.3083 0.4962
0.6917 0.5038 0.8120
0.3083 0.4962 0.1880
0.3083 0.1203 0.8120
0.0000 0.0000 0.0000
```

---

Entry 2:
DFT (PBE-GGA) results for a relaxed Os3O crystal.

Output
Calculated formation energy (eV per atom): 0.657
Calculated volume (Å³/f.u.): 53
Symmetry: Fm-3m, No. 225
Energy above the most stable polymorph in this dataset (meV/atom): 0

POSCAR file:
```
Os3O
1.0
-1.7327 0.7582 3.7677
-1.3692 3.8725 0.9496
-4.1360 0.7579 0.3040
Os O
3 1
direct
0.7500 0.7500 0.7500
0.2500 0.2500 0.2500
0.5000 0.5000 0.5000
0.0000 0.0000 0.0000
```

---

Entry 3:
DFT (PBE-GGA) results for a relaxed FeSn2 crystal.

Output
Calculated formation energy (eV per atom): 0.012
Calculated volume (Å³/f.u.): 58
Symmetry: I4/mcm, No. 140

POSCAR file:
```
FeSn2
1.0
0.8025 -4.4437 2.9254
3.4219 4.1403 0.3113
-4.6440 1.9828 1.8576
Fe Sn
2 4
direct
0.2500 0.2500 0.0000
0.7500 0.7500 0.0000
0.1614 0.6614 0.8228
0.8386 0.3386 0.1772
0.3386 0.1614 0.5000
0.6614 0.8386 0.5000
```

---

Entry 4:
DFT (PBE-GGA) results for a relaxed LiMg6Sn crystal.

Output
Calculated formation energy (eV per atom): -0.073
Calculated volume (Å³/f.u.): 180
Energy above the most stable polymorph in this dataset (meV/atom): 3

POSCAR file:
```
LiMg6Sn
1.0
-4.8995 -1.3601 -0.4069
0.6672 -0.5330 -6.2528
2.8735 -10.7162 1.2200
Li Mg Sn
2 12 2
direct
0.5000 0.5000 0.1669
0.5000 0.0000 0.6669
0.5000 0.2508 0.4164
0.5000 0.7492 0.4164
0.0000 0.7452 0.0830
0.0000 0.2548 0.0830
0.0000 0.0000 0.3353
0.0000 0.5000 0.3325
0.5000 0.7508 0.9164
0.5000 0.2492 0.9164
0.0000 0.2452 0.5830
0.0000 0.7548 0.5830
0.0000 0.5000 0.8353
0.0000 0.0000 0.8325
0.5000 0.0000 0.1665
0.5000 0.5000 0.6665
```